Here is BaLaTiCrO6 after structural relaxation from the Materials Project database. Energies are from PBE+U.

Calculated values
Crystal system: orthorhombic
Formation enthalpy at 0 K in eV per atom: -3.297
Energy above the most stable polymorph in this dataset in meV/atom: 0
Total magnetization in μB per atom: 0.30
SG: Pmma, No. 51

Structure (POSCAR):
```
BaLaTiCrO6
1.0
3.984 0.000 0.000
0.000 5.657 0.000
0.000 0.000 22.442
Ba O La Cr Ti
4 24 4 4 4
Direct
0.000 0.250 0.192
0.000 0.250 0.936
0.000 0.750 0.064
0.000 0.750 0.808
0.000 0.250 0.805
0.500 0.000 0.500
0.500 0.500 0.500
0.500 0.500 0.000
0.500 0.499 0.128
0.500 0.000 0.000
0.500 0.986 0.256
0.000 0.750 0.677
0.000 0.250 0.564
0.500 0.999 0.872
0.000 0.750 0.195
0.500 0.514 0.256
0.500 0.500 0.623
0.500 0.000 0.623
0.000 0.250 0.323
0.500 0.501 0.872
0.500 0.014 0.744
0.500 0.001 0.128
0.000 0.250 0.064
0.500 0.486 0.744
0.500 0.500 0.377
0.000 0.750 0.436
0.000 0.750 0.936
0.500 0.000 0.377
0.000 0.750 0.563
0.000 0.250 0.681
0.000 0.750 0.319
0.000 0.250 0.437
0.500 0.750 0.684
0.500 0.750 0.439
0.500 0.250 0.316
0.500 0.250 0.561
0.500 0.250 0.064
0.500 0.750 0.936
0.500 0.750 0.193
0.500 0.250 0.807
```



Here is CaVF6 after structural relaxation from the Materials Project database. Energies are from PBE+U.

Calculated values
Crystal system: trigonal
Formation enthalpy at 0 K in eV per atom: -3.461
SG: R-3, No. 148

Structure (POSCAR):
```
CaVF6
1.0
5.066 -2.805 0.000
5.066 2.805 0.000
3.513 0.000 4.603
Ca V F
1 1 6
Direct
0.500 0.500 0.500
0.000 0.000 0.000
0.685 0.866 0.222
0.315 0.134 0.778
0.866 0.222 0.685
0.778 0.315 0.134
0.222 0.685 0.866
0.134 0.778 0.315
```



Here is BaVSi2O7 after structural relaxation from the Materials Project database. Energies are from PBE+U.

Calculated values
Crystal system: orthorhombic
Formation enthalpy at 0 K in eV per atom: -3.129
Energy above the most stable polymorph in this dataset in meV/atom: 0
Total magnetization in μB per atom: 0.09
SG: Ama2, No. 40

Structure (POSCAR):
```
BaVSi2O7
1.0
0.000 0.000 5.427
7.190 0.000 0.000
0.000 7.751 -2.714
O Si V Ba
14 4 2 2
Direct
0.643 0.250 0.260
0.411 0.938 0.292
0.613 0.439 0.702
0.998 0.750 0.001
0.383 0.750 0.740
0.517 0.500 0.000
0.911 0.939 0.298
0.119 0.438 0.708
0.411 0.562 0.292
0.613 0.061 0.702
0.997 0.250 0.999
0.517 0.000 0.000
0.911 0.561 0.298
0.119 0.062 0.708
0.618 0.024 0.207
0.411 0.524 0.793
0.618 0.476 0.207
0.411 0.976 0.793
0.905 0.250 0.788
0.117 0.750 0.212
0.223 0.250 0.413
0.810 0.750 0.587
```